(1)
Compound: LiUO3
Source: Materials Project
Functional: r²SCAN
Structure: optimized geometry

Formation energy, meV per atom: -3255
SG: R3c, No. 161

Lattice parameters (Å, degrees): 5.8859 5.8859 5.8859 54.85 54.85 54.85
Positions (direct):
Li1 0.0000 0.0000 0.0000
Li2 0.5000 0.5000 0.5000
U1 0.2276 0.2276 0.2276
U2 0.7276 0.7276 0.7276
O1 0.1254 0.8320 0.4621
O2 0.3320 0.6254 0.9621
O3 0.4621 0.1254 0.8320
O4 0.6254 0.9621 0.3320
O5 0.8320 0.4621 0.1254
O6 0.9621 0.3320 0.6254

(2)
Compound: LiU3O8
Source: Materials Project
Functional: r²SCAN
Structure: optimized geometry

Formation energy, meV per atom: -3454
SG: Amm2, No. 38

Lattice parameters (Å, degrees): 4.1994 6.8669 6.8669 120.33 90.00 90.00
Positions (direct):
Li1 0.0000 0.0000 0.0000
U1 0.5000 0.3044 0.9467
U2 0.5000 0.6474 0.6474
U3 0.5000 0.9467 0.3044
O1 0.0000 0.2718 0.9537
O2 0.0000 0.6974 0.6974
O3 0.0000 0.9537 0.2718
O4 0.5000 0.0409 0.0409
O5 0.5000 0.2982 0.5513
O6 0.5000 0.5513 0.2982
O7 0.5000 0.6313 0.9652
O8 0.5000 0.9652 0.6313

(3)
Compound: Li3UO4
Source: Materials Project
Functional: r²SCAN
Structure: optimized geometry

Formation energy, meV per atom: -2877
SG: I4/mmm, No. 139

Lattice parameters (Å, degrees): 5.2304 5.2304 5.2304 129.56 129.56 74.11
Positions (direct):
Li1 0.0000 0.0000 0.0000
Li2 0.2500 0.7500 0.5000
Li3 0.7500 0.2500 0.5000
U1 0.5000 0.5000 0.0000
O1 0.0000 0.5000 0.5000
O2 0.2594 0.2594 0.0000
O3 0.5000 0.0000 0.5000
O4 0.7406 0.7406 0.0000

(4)
Compound: Li3VO4
Source: Materials Project
Functional: r²SCAN
Structure: optimized geometry

Formation energy, meV per atom: -2560
SG: Pnma, No. 62

Lattice parameters (Å, degrees): 10.8024 6.2877 5.0480 90.00 90.00 90.00
Positions (direct):
Li1 0.0777 0.2500 0.1904
Li2 0.1676 0.5040 0.8131
Li3 0.1676 0.9960 0.8131
Li4 0.3324 0.0040 0.3131
Li5 0.3324 0.4960 0.3131
Li6 0.4223 0.7500 0.6904
Li7 0.5777 0.2500 0.3096
Li8 0.6676 0.5040 0.6869
Li9 0.6676 0.9960 0.6869
Li10 0.8324 0.0040 0.1869
Li11 0.8324 0.4960 0.1869
Li12 0.9223 0.7500 0.8096
V1 0.0855 0.7500 0.3176
V2 0.4145 0.2500 0.8176
V3 0.5855 0.7500 0.1824
V4 0.9145 0.2500 0.6824
O1 0.0649 0.2500 0.7927
O2 0.0869 0.7500 0.6597
O3 0.1614 0.5262 0.2065
O4 0.1614 0.9738 0.2065
O5 0.3386 0.0262 0.7065
O6 0.3386 0.4738 0.7065
O7 0.4131 0.2500 0.1597
O8 0.4351 0.7500 0.2927
O9 0.5649 0.2500 0.7073
O10 0.5869 0.7500 0.8403
O11 0.6614 0.5262 0.2935
O12 0.6614 0.9738 0.2935
O13 0.8386 0.0262 0.7935
O14 0.8386 0.4738 0.7935
O15 0.9131 0.2500 0.3403
O16 0.9351 0.7500 0.2073

Among the records above, which one has the lowest formation energy? LiU3O8